Entry from the Materials Project database: a relaxed structure of Cd3Co2H44Br12N12O4 (PBE+U).

Calculated values
E_form in eV per atom: -0.626
Volume in Å³ per atom: 12.86
Corrected total energy (MP2020 scheme) in eV/atom: -4.60
Electronic total energy in eV per atom: -4.52

a = 9.116 Å, b = 9.120 Å, c = 12.833 Å
α = 69.20°, β = 89.33°, γ = 83.35°
Space group P-1 (No. 2)
One atom of each set of equivalent atoms:
Cd 0.000 0.000 0.000 x1
Cd 0.380 0.142 0.839 x2
Co 0.201 0.321 0.297 x2
H 0.001 0.519 0.849 x2
H 0.014 0.262 0.448 x2
H 0.035 0.112 0.298 x2
H 0.035 0.486 0.733 x2
H 0.077 0.650 0.744 x2
H 0.133 0.368 0.479 x2
H 0.175 0.175 0.506 x2
H 0.179 0.026 0.381 x2
H 0.184 0.621 0.242 x2
H 0.195 0.074 0.244 x2
H 0.196 0.338 0.095 x2
H 0.238 0.623 0.536 x2
H 0.262 0.538 0.368 x2
H 0.293 0.443 0.583 x2
H 0.300 0.469 0.104 x2
H 0.335 0.881 0.767 x2
H 0.337 0.808 0.896 x2
H 0.360 0.549 0.255 x2
H 0.368 0.282 0.143 x2
H 0.416 0.210 0.442 x2
H 0.426 0.109 0.357 x2
H 0.483 0.285 0.317 x2
Br 0.075 0.720 0.970 x2
Br 0.078 0.172 0.777 x2
Br 0.212 0.861 0.592 x2
Br 0.307 0.997 0.062 x2
Br 0.412 0.428 0.847 x2
Br 0.489 0.200 0.632 x2
N 0.002 0.427 0.236 x2
N 0.124 0.278 0.449 x2
N 0.148 0.112 0.305 x2
N 0.258 0.528 0.290 x2
N 0.275 0.356 0.144 x2
N 0.401 0.221 0.359 x2
O 0.219 0.522 0.531 x2
O 0.395 0.868 0.834 x2

---

Entry from the Materials Project database: a relaxed structure of CeMoBrO4 (PBE+U).

Calculated values
E_form in eV per atom: -2.507
Volume in Å³ per atom: 16.46
Corrected total energy (MP2020 scheme) in eV/atom: -7.96
Electronic total energy in eV per atom: -7.11

a = 10.152 Å, b = 6.004 Å, c = 7.563 Å
α = 90.00°, β = 90.23°, γ = 90.00°
Space group P2_1/c (No. 14)
One atom of each set of equivalent atoms:
Ce 0.227 0.200 0.123 x4
Mo 0.356 0.749 0.876 x4
Br 0.014 0.742 0.621 x4
O 0.265 0.035 0.417 x4
O 0.270 0.033 0.833 x4
O 0.325 0.649 0.625 x4
O 0.471 0.240 0.623 x4